Computed, not measured: ScAlCu2 after structural relaxation at the PBE level of DFT.

Unit cell a=3.158 b=3.158 c=6.126 alpha=90.00 beta=90.00 gamma=90.00
Positions (direct):
Sc1 0.000 0.000 0.500
Cu1 0.500 0.500 0.229
Cu2 0.500 0.500 0.771
Al1 0.000 0.000 0.000

* magnetic moment: 0.000 Bohr magnetons per cell
* DFT formation energy: -0.24 eV/atom
* space-group type: No. 123